1.
First-principles (GGA-PBE) data for crystalline Na7CaSc3P6O24 at its relaxed geometry, as listed in Materials Project.

The structure in POSCAR format:
```
Na7CaSc3P6O24
1.0
9.1783 0.0000 0.0000
4.5877 7.9559 0.0000
0.0023 0.0093 22.4641
Na Ca Sc P O
21 3 9 18 72
Direct
0.0000 0.0000 0.0000 Na
0.0008 0.3583 0.7446 Na
0.0019 0.3425 0.2526 Na
0.0384 0.6598 0.8304 Na
0.3013 0.0183 0.8302 Na
0.3031 0.3906 0.3358 Na
0.3263 0.3333 0.6611 Na
0.3294 0.0632 0.1632 Na
0.3338 0.6921 0.4194 Na
0.3350 0.6770 0.9189 Na
0.3607 0.0015 0.4996 Na
0.6444 0.7170 0.9994 Na
0.6500 0.0429 0.0800 Na
0.6631 0.3964 0.8298 Na
0.6676 0.0429 0.5794 Na
0.6682 0.6609 0.3369 Na
0.7003 0.6863 0.6602 Na
0.7070 0.3261 0.1648 Na
0.9654 0.6863 0.1641 Na
0.9766 0.0564 0.6598 Na
0.9984 0.7164 0.4991 Na
0.0059 0.3583 0.0978 Ca
0.3347 0.6916 0.7668 Ca
0.9964 0.3567 0.5919 Ca
0.0045 0.3589 0.9018 Sc
0.3284 0.6979 0.2707 Sc
0.3341 0.6863 0.0645 Sc
0.3403 0.6857 0.5658 Sc
0.6626 0.0303 0.9348 Sc
0.6673 0.0251 0.7319 Sc
0.6708 0.0262 0.2334 Sc
0.6712 0.0297 0.4314 Sc
0.9978 0.3522 0.4006 Sc
0.0004 0.6652 0.9997 P
0.0029 0.0491 0.5014 P
0.0298 0.6963 0.6672 P
0.0387 0.9804 0.1662 P
0.3065 0.0503 0.0008 P
0.3062 0.3583 0.4979 P
0.3396 0.9916 0.6674 P
0.3409 0.3968 0.1705 P
0.3687 0.3150 0.8330 P
0.3711 0.0276 0.3330 P
0.6226 0.6983 0.1684 P
0.6339 0.3877 0.6699 P
0.6693 0.3230 0.3306 P
0.6768 0.7261 0.8351 P
0.6936 0.6675 0.4977 P
0.6977 0.3592 0.0003 P
0.9575 0.0337 0.8353 P
0.9650 0.7242 0.3331 P
0.0030 0.5438 0.6615 O
0.0183 0.5523 0.9452 O
0.0194 0.1574 0.1668 O
0.0264 0.1553 0.4519 O
0.1200 0.8815 0.1080 O
0.1263 0.6724 0.7254 O
0.1274 0.7125 0.6128 O
0.1346 0.8762 0.8348 O
0.1460 0.6969 0.3301 O
0.1512 0.8823 0.2196 O
0.1593 0.6842 0.0020 O
0.1691 0.8736 0.5014 O
0.1832 0.3777 0.1680 O
0.1832 0.3843 0.4452 O
0.1873 0.1482 0.9477 O
0.1868 0.1707 0.6619 O
0.1924 0.3285 0.8376 O
0.1959 0.1896 0.3387 O
0.2390 0.1424 0.0598 O
0.2403 0.3227 0.5558 O
0.3119 0.5248 0.5020 O
0.3164 0.8747 0.0012 O
0.3164 0.9190 0.7258 O
0.3264 0.4969 0.2277 O
0.3474 0.4927 0.8345 O
0.3564 0.8771 0.6133 O
0.3582 0.4902 0.1158 O
0.3578 0.8660 0.3288 O
0.4499 0.2161 0.7746 O
0.4564 0.0540 0.2771 O
0.4816 0.2024 0.4880 O
0.4819 0.2164 0.8857 O
0.4832 0.0019 0.3878 O
0.4888 0.0176 0.9933 O
0.5031 0.2187 0.1709 O
0.5067 0.9987 0.6681 O
0.5084 0.5023 0.3297 O
0.5126 0.4914 0.6182 O
0.5148 0.6880 0.5015 O
0.5182 0.7165 0.1114 O
0.5192 0.7065 0.8353 O
0.5253 0.5252 0.0030 O
0.5320 0.6822 0.2240 O
0.5673 0.4775 0.7296 O
0.6371 0.8612 0.1713 O
0.6424 0.2130 0.6689 O
0.6433 0.2296 0.3827 O
0.6644 0.8311 0.8903 O
0.6715 0.8467 0.4898 O
0.6767 0.2035 0.9921 O
0.6910 0.2239 0.2722 O
0.6926 0.8141 0.7782 O
0.7891 0.5522 0.4438 O
0.7941 0.3833 0.9471 O
0.7946 0.6011 0.5554 O
0.7995 0.3265 0.0580 O
0.7998 0.5407 0.1671 O
0.8115 0.3636 0.6625 O
0.8242 0.3479 0.3378 O
0.8394 0.5490 0.8374 O
0.8439 0.8456 0.9931 O
0.8523 0.0513 0.7786 O
0.8535 0.0190 0.4902 O
0.8555 0.8120 0.2771 O
0.8559 0.8636 0.6683 O
0.8619 0.9944 0.1703 O
0.8666 0.0190 0.8907 O
0.8779 0.8291 0.3890 O
0.9668 0.5966 0.0572 O
0.9727 0.1959 0.8382 O
0.9760 0.1338 0.5620 O
0.9789 0.5470 0.3367 O
```

Magnetization   0.000 μB/cell
Total energy   -864.49 eV for the cell shown
Space group   P1
ρ   2.75 Mg/m³

2.
First-principles (GGA-PBE) data for crystalline NaSi2O5 at its relaxed geometry, as listed in Materials Project.

The structure in POSCAR format:
```
NaSi2O5
1.0
-5.1798 5.1798 4.7042
5.1798 -5.1798 4.7042
5.1798 5.1798 -4.7042
Na Si O
4 8 20
Direct
0.2734 0.2284 0.2384 Na
0.7716 0.0101 0.0451 Na
0.9650 0.7266 0.9549 Na
0.9899 0.0350 0.7616 Na
0.0875 0.9011 0.4342 Si
0.0989 0.5331 0.1864 Si
0.3467 0.9125 0.8136 Si
0.3525 0.6444 0.9984 Si
0.3556 0.3540 0.7081 Si
0.4669 0.6533 0.5658 Si
0.6460 0.3541 0.0016 Si
0.6459 0.6475 0.2919 Si
0.0454 0.9439 0.2497 O
0.0561 0.3058 0.1016 O
0.1638 0.7781 0.3285 O
0.1646 0.8362 0.6142 O
0.1925 0.6189 0.0638 O
0.1988 0.1271 0.5965 O
0.2042 0.9546 0.8984 O
0.2219 0.5504 0.3858 O
0.2723 0.4346 0.8355 O
0.3811 0.4449 0.5736 O
0.3977 0.8012 0.9283 O
0.4496 0.8354 0.6715 O
0.5306 0.6023 0.4035 O
0.5551 0.1287 0.9362 O
0.5631 0.7277 0.1623 O
0.5654 0.4009 0.8377 O
0.5991 0.4369 0.1645 O
0.6942 0.7958 0.7503 O
0.8713 0.8075 0.4264 O
0.8729 0.4694 0.0717 O
```

Magnetization   4.000 μB/cell
Total energy   -219.72 eV for the cell shown
Space group   I-4
ρ   2.09 Mg/m³

3.
First-principles (GGA-PBE) data for crystalline Sb2Te3H2CN2Cl18 at its relaxed geometry, as listed in Materials Project.

The structure in POSCAR format:
```
Sb2Te3H2CN2Cl18
1.0
16.0017 0.0000 0.0000
0.0000 13.2214 0.0000
-5.1293 0.0000 15.4269
Sb Te H C N Cl
8 12 8 4 8 72
Direct
0.0753 0.2120 0.0736 Sb
0.0753 0.2880 0.5736 Sb
0.4101 0.5787 0.6370 Sb
0.4101 0.9213 0.1370 Sb
0.5899 0.0787 0.8630 Sb
0.5899 0.4213 0.3630 Sb
0.9247 0.7120 0.4264 Sb
0.9247 0.7880 0.9264 Sb
0.1972 0.0960 0.3928 Te
0.1972 0.4040 0.8928 Te
0.2444 0.5923 0.7504 Te
0.2444 0.9077 0.2504 Te
0.3637 0.1108 0.2809 Te
0.3637 0.3892 0.7809 Te
0.6363 0.6108 0.2191 Te
0.6363 0.8892 0.7191 Te
0.7556 0.0923 0.7496 Te
0.7556 0.4077 0.2496 Te
0.8028 0.5960 0.1072 Te
0.8028 0.9040 0.6072 Te
0.1179 0.0130 0.7569 H
0.1179 0.4870 0.2569 H
0.1765 0.5775 0.3390 H
0.1765 0.9225 0.8390 H
0.8235 0.0775 0.1610 H
0.8235 0.4225 0.6610 H
0.8821 0.5130 0.7431 H
0.8821 0.9870 0.2431 H
0.1645 0.5503 0.2729 C
0.1645 0.9497 0.7729 C
0.8355 0.0503 0.2271 C
0.8355 0.4497 0.7271 C
0.2634 0.0428 0.3157 N
0.2634 0.4572 0.8157 N
0.3444 0.5246 0.7214 N
0.3444 0.9754 0.2214 N
0.6556 0.0246 0.7786 N
0.6556 0.4754 0.2786 N
0.7366 0.5428 0.1843 N
0.7366 0.9572 0.6843 N
0.0664 0.1102 0.5410 Cl
0.0664 0.3898 0.0410 Cl
0.0752 0.1761 0.9285 Cl
0.0752 0.3239 0.4285 Cl
0.0806 0.6980 0.4678 Cl
0.0806 0.8020 0.9678 Cl
0.0835 0.2473 0.2229 Cl
0.0835 0.2527 0.7229 Cl
0.0912 0.0319 0.1081 Cl
0.0912 0.4681 0.6081 Cl
0.1136 0.5668 0.8408 Cl
0.1136 0.9332 0.3408 Cl
0.1160 0.6515 0.2010 Cl
0.1160 0.8485 0.7010 Cl
0.2369 0.2260 0.1191 Cl
0.2369 0.2740 0.6191 Cl
0.2654 0.5088 0.2616 Cl
0.2654 0.9912 0.7616 Cl
0.2814 0.0181 0.5212 Cl
0.2814 0.4819 0.0212 Cl
0.2975 0.5123 0.5160 Cl
0.2975 0.9877 0.0160 Cl
0.3055 0.2355 0.4092 Cl
0.3055 0.2645 0.9092 Cl
0.3216 0.7294 0.6356 Cl
0.3216 0.7706 0.1356 Cl
0.3274 0.6928 0.8664 Cl
0.3274 0.8072 0.3664 Cl
0.4735 0.1453 0.7423 Cl
0.4735 0.3547 0.2423 Cl
0.4787 0.0901 0.1685 Cl
0.4787 0.4099 0.6685 Cl
0.4821 0.0644 0.4028 Cl
0.4821 0.4356 0.9028 Cl
0.4866 0.6386 0.5438 Cl
0.4866 0.8614 0.0438 Cl
0.5134 0.1386 0.9562 Cl
0.5134 0.3614 0.4562 Cl
0.5179 0.5644 0.0972 Cl
0.5179 0.9356 0.5972 Cl
0.5213 0.5901 0.3315 Cl
0.5213 0.9099 0.8315 Cl
0.5265 0.6453 0.7577 Cl
0.5265 0.8547 0.2577 Cl
0.6726 0.1928 0.6336 Cl
0.6726 0.3072 0.1336 Cl
0.6784 0.2294 0.8644 Cl
0.6784 0.2706 0.3644 Cl
0.6945 0.7355 0.0908 Cl
0.6945 0.7645 0.5908 Cl
0.7025 0.0123 0.9840 Cl
0.7025 0.4877 0.4840 Cl
0.7186 0.5181 0.9788 Cl
0.7186 0.9819 0.4788 Cl
0.7346 0.0088 0.2384 Cl
0.7346 0.4912 0.7384 Cl
0.7631 0.7260 0.3809 Cl
0.7631 0.7740 0.8809 Cl
0.8840 0.1515 0.2990 Cl
0.8840 0.3485 0.7990 Cl
0.8864 0.0668 0.6592 Cl
0.8864 0.4332 0.1592 Cl
0.9088 0.5319 0.3919 Cl
0.9088 0.9681 0.8919 Cl
0.9165 0.7473 0.2771 Cl
0.9165 0.7527 0.7771 Cl
0.9194 0.1980 0.0322 Cl
0.9194 0.3020 0.5322 Cl
0.9248 0.6761 0.5715 Cl
0.9248 0.8239 0.0715 Cl
0.9336 0.6102 0.9590 Cl
0.9336 0.8898 0.4590 Cl
```

Magnetization   0.113 μB/cell
Total energy   -381.70 eV for the cell shown
Space group   P2_1/c
ρ   2.66 Mg/m³

4.
First-principles (GGA-PBE) data for crystalline LaIn6Ni3 at its relaxed geometry, as listed in Materials Project.

The structure in POSCAR format:
```
LaIn6Ni3
1.0
4.4233 0.0000 0.0000
0.0000 7.6497 0.0000
0.0000 0.0000 11.9690
La In Ni
2 12 6
Direct
0.2500 0.2500 0.1773 La
0.7500 0.7500 0.8227 La
0.2500 0.0516 0.9160 In
0.2500 0.2500 0.4883 In
0.2500 0.4484 0.9160 In
0.2500 0.5430 0.6625 In
0.2500 0.7500 0.2484 In
0.2500 0.9570 0.6625 In
0.7500 0.0430 0.3375 In
0.7500 0.2500 0.7516 In
0.7500 0.4570 0.3375 In
0.7500 0.5516 0.0840 In
0.7500 0.7500 0.5117 In
0.7500 0.9484 0.0840 In
0.2500 0.5778 0.4357 Ni
0.2500 0.7500 0.0330 Ni
0.2500 0.9222 0.4357 Ni
0.7500 0.0778 0.5643 Ni
0.7500 0.2500 0.9670 Ni
0.7500 0.4222 0.5643 Ni
```

Magnetization   0.001 μB/cell
Total energy   -83.37 eV for the cell shown
Space group   Pmmn
ρ   8.23 Mg/m³

5.
First-principles (GGA-PBE) data for crystalline MnFe10N8 at its relaxed geometry, as listed in Materials Project.

The structure in POSCAR format:
```
MnFe10N8
1.0
7.5999 -1.9112 0.0000
7.5999 1.9112 0.0000
-1.9659 0.0000 5.9528
Mn Fe N
1 10 8
Direct
0.0000 0.0000 0.0000 Mn
0.0982 0.0982 0.4748 Fe
0.1733 0.1733 0.9168 Fe
0.2668 0.2668 0.3449 Fe
0.3566 0.3566 0.8464 Fe
0.4892 0.4892 0.2803 Fe
0.5108 0.5108 0.7197 Fe
0.6434 0.6434 0.1536 Fe
0.7332 0.7332 0.6551 Fe
0.8267 0.8267 0.0832 Fe
0.9018 0.9018 0.5252 Fe
0.0400 0.0400 0.7208 N
0.1352 0.1352 0.1941 N
0.3054 0.3054 0.0918 N
0.3847 0.3847 0.5546 N
0.6153 0.6153 0.4454 N
0.6946 0.6946 0.9082 N
0.8648 0.8648 0.8059 N
0.9600 0.9600 0.2792 N
```

Magnetization   10.881 μB/cell
Total energy   -158.23 eV for the cell shown
Space group   C2/m
ρ   6.97 Mg/m³

6.
First-principles (GGA-PBE) data for crystalline BaLaTiCuO6 at its relaxed geometry, as listed in Materials Project.

The structure in POSCAR format:
```
BaLaTiCuO6
1.0
5.6142 0.0000 0.0000
0.0000 3.9574 0.0000
0.0000 0.0000 22.2658
Ba La Ti Cu O
4 4 4 4 24
Direct
0.2500 0.0000 0.0640 Ba
0.2500 0.0000 0.8058 Ba
0.7500 0.0000 0.1942 Ba
0.7500 0.0000 0.9360 Ba
0.2500 0.0000 0.3190 La
0.2500 0.0000 0.5615 La
0.7500 0.0000 0.4385 La
0.7500 0.0000 0.6810 La
0.2500 0.5000 0.1922 Ti
0.2500 0.5000 0.9356 Ti
0.7500 0.5000 0.0644 Ti
0.7500 0.5000 0.8078 Ti
0.2500 0.5000 0.4390 Cu
0.2500 0.5000 0.6829 Cu
0.7500 0.5000 0.3171 Cu
0.7500 0.5000 0.5610 Cu
0.0000 0.5000 0.0000 O
0.0000 0.5000 0.5000 O
0.0010 0.5000 0.6215 O
0.0014 0.5000 0.8714 O
0.0144 0.5000 0.2569 O
0.2500 0.0000 0.1939 O
0.2500 0.0000 0.4367 O
0.2500 0.0000 0.6769 O
0.2500 0.0000 0.9359 O
0.4856 0.5000 0.2569 O
0.4990 0.5000 0.6215 O
0.4986 0.5000 0.8714 O
0.5000 0.5000 0.0000 O
0.5000 0.5000 0.5000 O
0.5014 0.5000 0.1286 O
0.5010 0.5000 0.3785 O
0.5144 0.5000 0.7431 O
0.7500 0.0000 0.0641 O
0.7500 0.0000 0.3231 O
0.7500 0.0000 0.5633 O
0.7500 0.0000 0.8061 O
0.9856 0.5000 0.7431 O
0.9986 0.5000 0.1286 O
0.9990 0.5000 0.3785 O
```

Magnetization   0.056 μB/cell
Distance to the lowest polymorph of the same formula   0.000 eV per atom
Space group   Pmma
ρ   6.49 Mg/m³

7.
First-principles (GGA-PBE) data for crystalline YCu3O6 at its relaxed geometry, as listed in Materials Project.

The structure in POSCAR format:
```
YCu3O6
1.0
6.0884 -1.7411 0.0000
6.0884 1.7411 0.0000
-4.3248 0.0000 8.7040
Y Cu O
1 3 6
Direct
0.0000 0.0000 0.0000 Y
0.0000 0.0000 0.5000 Cu
0.3356 0.3356 0.1749 Cu
0.6644 0.6644 0.8251 Cu
0.1270 0.1270 0.4669 O
0.1983 0.1983 0.1821 O
0.4472 0.4472 0.1085 O
0.5528 0.5528 0.8915 O
0.8017 0.8017 0.8179 O
0.8730 0.8730 0.5331 O
```

Magnetization   6.001 μB/cell
Distance to the lowest polymorph of the same formula   0.035 eV per atom
Space group   C2/m
ρ   3.38 Mg/m³

8.
First-principles (GGA-PBE) data for crystalline DySeO3 at its relaxed geometry, as listed in Materials Project.

The structure in POSCAR format:
```
DySeO3
1.0
6.0211 0.0000 0.0000
0.0000 12.4515 0.0000
-2.5075 0.0000 8.5102
Dy Se O
8 8 24
Direct
0.1374 0.2410 0.1440 Dy
0.1374 0.2590 0.6440 Dy
0.2605 0.5593 0.0867 Dy
0.2605 0.9407 0.5867 Dy
0.7395 0.0593 0.4133 Dy
0.7395 0.4407 0.9133 Dy
0.8626 0.7410 0.3560 Dy
0.8626 0.7590 0.8560 Dy
0.1276 0.5151 0.6762 Se
0.1276 0.9849 0.1762 Se
0.4537 0.6594 0.4960 Se
0.4537 0.8406 0.9960 Se
0.5463 0.1594 0.0040 Se
0.5463 0.3406 0.5040 Se
0.8724 0.0151 0.8238 Se
0.8724 0.4849 0.3238 Se
0.0521 0.5915 0.2823 O
0.0521 0.9085 0.7823 O
0.0922 0.0953 0.5797 O
0.0922 0.4047 0.0797 O
0.2494 0.7446 0.0005 O
0.2494 0.7554 0.5005 O
0.2880 0.2274 0.9128 O
0.2880 0.2726 0.4128 O
0.3658 0.5183 0.8529 O
0.3658 0.9817 0.3529 O
0.4837 0.6725 0.3083 O
0.4837 0.8275 0.8083 O
0.5163 0.1725 0.1917 O
0.5163 0.3275 0.6917 O
0.6342 0.0183 0.6471 O
0.6342 0.4817 0.1471 O
0.7120 0.7274 0.5872 O
0.7120 0.7726 0.0872 O
0.7506 0.2446 0.4995 O
0.7506 0.2554 0.9995 O
0.9078 0.5953 0.9203 O
0.9078 0.9047 0.4203 O
0.9479 0.0915 0.2177 O
0.9479 0.4085 0.7177 O
```

Total energy   -268.18 eV for the cell shown
Space group   P2_1/c
ρ   6.03 Mg/m³